Record 1
Entry from the Materials Project: crystalline LiCo3O6 at its relaxed geometry (meta-GGA r2SCAN).

```
LiCo3O6
1.0
-3.478 2.399 2.350
-4.149 1.004 -2.190
-0.673 -4.970 0.771
Li Co O
1 3 6
Cartesian
-5.085 2.269 0.107 Li
-2.087 -1.287 1.544 Co
-3.682 -1.415 -0.683 Co
-4.607 -0.150 1.630 Co
-5.433 -1.911 -1.066 O
-1.932 -0.919 -0.301 O
-6.983 1.352 -0.147 O
-3.861 -1.784 1.131 O
-4.498 0.223 -0.194 O
-6.345 -0.654 1.178 O
```

Output
Raw total energy ... -91.35 eV per cell
Excess energy over the best structure of this formula in the dataset ... 0.000 eV per atom
V ... 96.4 Å³ per cell
ΔE_f ... -1.3421 eV per atom
Symmetry ... C2/m, No. 12
M_tot ... 2.0 μB per formula unit
Calculated density ... 4.8 Mg/m³

***

Record 2
Entry from the Materials Project: crystalline Y2Al5Ni5 at its relaxed geometry (meta-GGA r2SCAN).

```
Y2Al5Ni5
1.0
-1.332 -2.669 2.729
5.924 -5.899 -2.877
10.209 5.281 10.146
Y Al Ni
6 15 15
Cartesian
3.438 1.775 3.413 Y
11.512 1.441 7.027 Y
4.716 -2.082 0.266 Y
6.789 3.485 6.721 Y
5.209 -7.167 -1.471 Y
7.328 -1.648 4.960 Y
4.504 1.257 6.421 Al
2.353 -4.327 -0.088 Al
6.386 -4.397 1.812 Al
8.504 1.137 8.256 Al
3.350 -1.490 3.173 Al
11.434 -1.829 6.787 Al
9.577 3.620 8.214 Al
2.394 -0.081 1.090 Al
10.454 -0.410 4.702 Al
1.778 -1.756 -0.849 Al
9.699 -2.030 2.750 Al
6.473 -4.247 -0.993 Al
8.607 1.315 5.487 Al
5.792 -0.223 2.610 Al
13.797 -0.474 6.271 Al
7.106 -6.245 0.357 Ni
9.233 -0.703 6.814 Ni
4.819 -0.529 4.830 Ni
12.894 -0.831 8.475 Ni
8.139 -3.760 3.291 Ni
10.256 1.868 9.826 Ni
5.506 -2.592 3.148 Ni
7.699 2.986 9.671 Ni
4.604 -5.092 0.263 Ni
6.734 0.445 6.716 Ni
1.875 -2.469 1.496 Ni
9.910 -2.791 5.102 Ni
4.147 -4.114 -1.998 Ni
6.278 1.449 4.481 Ni
7.422 -1.972 1.695 Ni
```

Output
Raw total energy ... -425.61 eV per cell
V ... 548.0 Å³ per cell
ΔE_f ... -0.6395 eV per atom
Symmetry ... Pm, No. 6
M_tot ... 0.0 μB per formula unit
Calculated density ... 5.5 Mg/m³

***

Record 3
Entry from the Materials Project: crystalline UAs2 at its relaxed geometry (meta-GGA r2SCAN).

```
UAs2
1.0
3.976 0.000 0.000
0.000 3.976 0.000
0.000 0.000 8.297
U As
2 4
Cartesian
2.982 2.982 2.333 U
0.994 0.994 5.964 U
0.994 2.982 0.000 As
2.982 0.994 0.000 As
2.982 2.982 5.300 As
0.994 0.994 2.997 As
```

Output
Raw total energy ... -223.94 eV per cell
V ... 131.2 Å³ per cell
ΔE_f ... -0.8711 eV per atom
Symmetry ... P4/nmm, No. 129
M_tot ... 1.7 μB per formula unit
Calculated density ... 9.8 Mg/m³

***

Record 4
Entry from the Materials Project: crystalline CeNiGe at its relaxed geometry (meta-GGA r2SCAN).

```
CeNiGe
1.0
3.507 2.198 -0.515
-1.980 -1.576 -3.315
-4.097 6.396 -0.593
Ce Ni Ge
2 2 2
Cartesian
-2.048 3.198 -0.297 Ce
0.000 0.000 0.000 Ce
-1.394 5.738 -1.893 Ni
-1.176 1.281 -2.531 Ni
0.653 2.539 -1.597 Ge
-3.223 4.480 -2.827 Ge
```

Output
Raw total energy ... -117.90 eV per cell
V ... 114.8 Å³ per cell
ΔE_f ... -0.7524 eV per atom
Symmetry ... P6_3/mmc, No. 194
M_tot ... 0.0 μB per formula unit
Calculated density ... 7.9 Mg/m³

***

Record 5
Entry from the Materials Project: crystalline DyInRh at its relaxed geometry (meta-GGA r2SCAN).

```
DyInRh
1.0
7.453 0.000 0.000
-3.727 6.455 0.000
0.000 0.000 3.931
Dy In Rh
3 3 3
Cartesian
-2.211 3.830 1.966 Dy
4.423 0.000 1.966 Dy
1.515 2.624 1.966 Dy
-0.953 1.651 0.000 In
1.906 0.000 0.000 In
2.773 4.803 0.000 In
0.000 0.000 1.966 Rh
3.727 2.152 0.000 Rh
0.000 4.303 0.000 Rh
```

Output
Raw total energy ... -243.75 eV per cell
V ... 189.1 Å³ per cell
ΔE_f ... -0.8513 eV per atom
Symmetry ... P-62m, No. 189
M_tot ... 0.0 μB per formula unit
Calculated density ... 10.0 Mg/m³

***

Record 6
Entry from the Materials Project: crystalline YbMn2Si2 at its relaxed geometry (meta-GGA r2SCAN).

```
YbMn2Si2
1.0
-1.918 1.918 5.199
1.918 -1.918 5.199
1.918 1.918 -5.199
Yb Mn Si
1 2 2
Cartesian
0.000 0.000 0.000 Yb
0.000 1.918 2.600 Mn
1.918 0.000 2.600 Mn
0.000 0.000 6.404 Si
0.000 0.000 3.994 Si
```

Output
Raw total energy ... -86.81 eV per cell
V ... 76.5 Å³ per cell
ΔE_f ... -0.6741 eV per atom
Symmetry ... I4/mmm, No. 139
M_tot ... 4.5 μB per formula unit
Calculated density ... 7.4 Mg/m³

***

Record 7
Entry from the Materials Project: crystalline Sc3RuC4 at its relaxed geometry (meta-GGA r2SCAN).

```
Sc3RuC4
1.0
3.221 0.000 -0.810
-0.374 4.227 -1.486
-0.002 -0.001 6.798
Sc Ru C
3 1 4
Cartesian
2.306 3.425 2.360 Sc
0.539 0.801 2.142 Sc
-0.187 2.113 -0.743 Sc
1.610 0.000 -0.405 Ru
1.732 3.331 0.077 C
1.113 0.895 4.425 C
0.995 2.237 3.953 C
1.850 1.989 0.549 C
```

Output
Raw total energy ... -104.00 eV per cell
V ... 92.5 Å³ per cell
ΔE_f ... -0.5736 eV per atom
Symmetry ... Immm, No. 71
M_tot ... 0.0 μB per formula unit
Calculated density ... 5.1 Mg/m³

***

Record 8
Entry from the Materials Project: crystalline SbBrF8 at its relaxed geometry (meta-GGA r2SCAN).

```
SbBrF8
1.0
5.807 0.000 0.000
0.000 9.863 0.000
0.000 0.000 10.769
Sb Br F
4 4 32
Cartesian
5.165 0.000 2.692 Sb
0.642 4.932 2.692 Sb
0.642 0.000 8.077 Sb
5.165 4.932 8.077 Sb
2.904 7.397 0.418 Br
2.904 2.466 4.966 Br
2.904 2.466 10.350 Br
2.904 7.397 5.803 Br
0.639 3.765 8.789 F
0.639 6.098 7.364 F
5.168 8.697 7.364 F
5.168 1.166 8.789 F
5.168 6.098 1.980 F
5.168 3.765 3.405 F
0.639 1.166 3.405 F
0.639 8.697 1.980 F
3.715 8.755 2.002 F
3.715 1.108 3.383 F
2.092 3.823 3.383 F
2.092 6.040 2.002 F
2.092 1.108 8.767 F
2.092 8.755 7.386 F
3.715 6.040 7.386 F
3.715 3.823 8.767 F
3.582 8.475 9.998 F
3.582 1.388 6.155 F
2.225 3.543 6.155 F
2.225 6.320 9.998 F
2.225 1.388 0.771 F
2.225 8.475 4.613 F
3.582 6.320 4.613 F
3.582 3.543 0.771 F
5.048 8.882 4.288 F
5.048 0.981 1.097 F
0.759 3.951 1.097 F
0.759 5.912 4.288 F
0.759 0.981 6.481 F
0.759 8.882 9.672 F
5.048 5.912 9.672 F
5.048 3.951 6.481 F
```

Output
Raw total energy ... -329.12 eV per cell
V ... 616.8 Å³ per cell
ΔE_f ... -1.8306 eV per atom
Symmetry ... Pcca, No. 54
M_tot ... 0.0 μB per formula unit
Calculated density ... 3.8 Mg/m³

***

Record 9
Entry from the Materials Project: crystalline CeCo2Ge2 at its relaxed geometry (meta-GGA r2SCAN).

```
CeCo2Ge2
1.0
3.884 0.000 -1.444
-0.537 3.847 -1.444
-0.117 -0.134 5.631
Ce Co Ge
1 2 2
Cartesian
0.000 0.000 0.000 Ce
0.510 2.818 1.372 Co
2.720 0.895 1.372 Co
2.098 2.411 -0.302 Ge
1.132 1.301 3.045 Ge
```

Output
Raw total energy ... -87.86 eV per cell
V ... 82.6 Å³ per cell
ΔE_f ... -0.5607 eV per atom
Symmetry ... I4/mmm, No. 139
M_tot ... 1.0 μB per formula unit
Calculated density ... 8.1 Mg/m³

***

Record 10
Entry from the Materials Project: crystalline P2Pb3O8 at its relaxed geometry (meta-GGA r2SCAN).

```
P2Pb3O8
1.0
0.578 -7.461 -0.216
2.553 -5.168 4.777
-7.897 -2.545 4.293
P Pb O
4 6 16
Cartesian
-1.770 -5.601 4.988 P
1.946 -7.148 4.228 P
-2.995 -9.574 3.865 P
-6.712 -8.026 4.624 P
-0.805 -7.412 2.350 Pb
-3.960 -7.763 6.503 Pb
-2.530 -3.603 1.434 Pb
1.006 -11.120 3.486 Pb
-2.236 -11.572 7.419 Pb
-5.772 -4.055 5.366 Pb
-1.274 -7.023 5.276 O
1.353 -5.840 3.694 O
-3.491 -8.152 3.577 O
-6.118 -9.335 5.159 O
-1.833 -5.370 3.469 O
1.177 -8.345 3.645 O
-2.933 -9.805 5.384 O
-5.943 -6.829 5.208 O
-0.245 -11.996 5.392 O
-0.695 -2.049 1.003 O
-4.521 -3.179 3.461 O
-4.070 -13.125 7.850 O
-3.162 -5.423 5.649 O
-4.448 -9.743 8.142 O
-1.604 -9.752 3.203 O
-0.317 -5.432 0.711 O
```

Output
Raw total energy ... -523.52 eV per cell
Excess energy over the best structure of this formula in the dataset ... 0.004 eV per atom
V ... 367.7 Å³ per cell
ΔE_f ... -2.0863 eV per atom
Symmetry ... C2/c, No. 15
M_tot ... 0.0 μB per formula unit
Calculated density ... 7.3 Mg/m³

***

Record 11
Entry from the Materials Project: crystalline Ti2C at its relaxed geometry (meta-GGA r2SCAN).

```
Ti2C
1.0
-2.123 -4.643 0.526
0.683 -4.759 1.796
-1.663 -3.510 3.355
Ti C
2 1
Cartesian
-0.762 -3.170 1.394 Ti
-2.341 -9.742 4.283 Ti
-1.551 -6.456 2.838 C
```

Output
Raw total energy ... -37.96 eV per cell
V ... 39.6 Å³ per cell
ΔE_f ... -0.7125 eV per atom
Symmetry ... R-3m, No. 166
M_tot ... 0.0 μB per formula unit
Calculated density ... 4.5 Mg/m³

***

Record 12
Entry from the Materials Project: crystalline Ho2ZnRh at its relaxed geometry (meta-GGA r2SCAN).

```
Ho2ZnRh
1.0
-4.601 -1.588 -0.317
-2.920 0.192 3.902
-3.693 3.183 0.128
Ho Zn Rh
2 1 1
Cartesian
-8.411 1.341 2.784 Ho
-2.804 0.447 0.928 Ho
0.000 0.000 0.000 Zn
-5.607 0.894 1.856 Rh
```

Output
Raw total energy ... -101.49 eV per cell
V ... 82.0 Å³ per cell
ΔE_f ... -0.6691 eV per atom
Symmetry ... Fm-3m, No. 225
M_tot ... 0.0 μB per formula unit
Calculated density ... 10.1 Mg/m³

***

Record 13
Entry from the Materials Project: crystalline VRe2O9 at its relaxed geometry (meta-GGA r2SCAN).

```
VRe2O9
1.0
2.848 -7.308 0.000
2.848 7.308 0.000
0.000 0.000 8.864
V Re O
2 4 18
Cartesian
2.848 -5.586 6.927 V
2.848 5.586 2.495 V
2.848 -0.336 6.095 Re
2.848 0.336 1.663 Re
2.848 3.996 7.727 Re
2.848 -3.996 3.295 Re
2.848 -6.366 8.311 O
2.848 6.366 3.879 O
2.848 -1.181 7.589 O
2.848 1.181 3.157 O
2.848 -1.475 4.801 O
2.848 1.475 0.369 O
4.307 -3.105 2.893 O
1.388 3.105 7.325 O
1.388 -3.105 2.893 O
4.307 3.105 7.325 O
2.848 -4.475 4.962 O
2.848 4.475 0.530 O
2.848 -5.404 2.323 O
2.848 5.404 6.755 O
4.278 -0.693 1.561 O
1.418 0.693 5.993 O
1.418 -0.693 1.561 O
4.278 0.693 5.993 O
```

Output
Raw total energy ... -389.48 eV per cell
V ... 369.0 Å³ per cell
ΔE_f ... -1.8395 eV per atom
Symmetry ... Cmc2_1, No. 36
M_tot ... 1.0 μB per formula unit
Calculated density ... 5.1 Mg/m³

***

Record 14
Entry from the Materials Project: crystalline Ba11Cd8Bi14 at its relaxed geometry (meta-GGA r2SCAN).

```
Ba11Cd8Bi14
1.0
-4.845 -0.802 -0.692
1.982 -7.428 12.520
-3.605 14.353 8.615
Ba Cd Bi
11 8 14
Cartesian
-5.189 5.935 11.684 Ba
-3.353 6.038 16.519 Ba
-2.064 5.435 8.166 Ba
-5.816 10.120 11.208 Ba
-5.136 1.011 17.041 Ba
-2.423 -0.401 -0.346 Ba
-1.278 0.188 8.759 Ba
-0.652 -3.997 9.235 Ba
-4.404 0.688 12.277 Ba
-3.115 0.085 3.924 Ba
-1.331 5.112 3.402 Ba
-6.144 8.705 15.185 Cd
-2.526 2.807 14.450 Cd
-0.324 -2.581 5.258 Cd
-4.990 7.996 7.886 Cd
-3.942 3.317 5.993 Cd
-3.373 -5.028 11.715 Cd
-3.095 11.151 8.728 Cd
-1.478 -1.873 12.557 Cd
-4.359 6.191 5.580 Bi
-6.335 7.408 18.039 Bi
-2.805 8.314 9.997 Bi
-0.133 -1.285 2.404 Bi
-3.662 -2.191 10.446 Bi
-5.239 3.814 14.514 Bi
-3.417 8.653 13.918 Bi
-2.109 -0.068 14.863 Bi
-4.270 2.596 9.128 Bi
-1.183 -4.673 13.742 Bi
-2.198 3.527 11.315 Bi
-1.229 2.309 5.929 Bi
-5.284 10.796 6.701 Bi
-3.051 -2.530 6.525 Bi
```

Output
Raw total energy ... -1296.96 eV per cell
V ... 1229.5 Å³ per cell
ΔE_f ... -0.7755 eV per atom
Symmetry ... P-1, No. 2
M_tot ... 0.0 μB per formula unit
Calculated density ... 7.2 Mg/m³

***

Record 15
Entry from the Materials Project: crystalline Nb2Co4O9 at its relaxed geometry (meta-GGA r2SCAN).

```
Nb2Co4O9
1.0
-2.961 2.962 -2.953
-5.030 0.229 0.888
2.086 10.738 9.049
Nb Co O
4 8 18
Cartesian
-3.679 7.125 6.693 Nb
1.767 9.226 7.760 Nb
-2.192 6.754 0.344 Nb
0.249 1.590 1.261 Nb
-1.584 6.519 3.950 Co
-3.306 12.764 7.519 Co
-0.984 9.765 6.604 Co
-4.945 4.069 0.284 Co
-4.291 7.341 3.082 Co
-2.652 1.235 -0.616 Co
-3.880 9.549 4.880 Co
-2.047 4.328 2.116 Co
-3.084 4.810 0.466 O
-5.941 5.732 -0.016 O
-0.326 3.554 1.446 O
-2.858 9.099 6.546 O
0.078 8.129 7.042 O
-5.551 10.386 5.583 O
-4.736 7.521 5.134 O
-2.504 8.333 3.617 O
-5.064 9.309 2.980 O
0.828 10.844 7.318 O
-1.455 10.105 8.789 O
-1.679 11.906 6.643 O
-1.139 6.380 1.899 O
-3.369 5.554 3.416 O
-0.808 4.588 4.040 O
-6.712 3.173 -0.340 O
-4.477 3.888 -1.924 O
-4.230 2.163 0.314 O
```

Output
Raw total energy ... -368.74 eV per cell
Excess energy over the best structure of this formula in the dataset ... 0.020 eV per atom
V ... 323.3 Å³ per cell
ΔE_f ... -1.8809 eV per atom
Symmetry ... P1, No. 1
M_tot ... 10.0 μB per formula unit
Calculated density ... 5.8 Mg/m³

***

Record 16
Entry from the Materials Project: crystalline NpGa3 at its relaxed geometry (meta-GGA r2SCAN).

```
NpGa3
1.0
-1.200 1.144 -3.903
2.084 -3.321 -1.614
-3.492 -2.375 0.378
Np Ga
1 3
Cartesian
0.000 0.000 0.000 Np
-0.704 -2.848 -0.618 Ga
0.442 -1.089 -2.759 Ga
-2.346 -0.615 -1.762 Ga
```

Output
Raw total energy ... -118.86 eV per cell
V ... 76.2 Å³ per cell
ΔE_f ... -0.3779 eV per atom
Symmetry ... Pm-3m, No. 221
M_tot ... 3.5 μB per formula unit
Calculated density ... 9.7 Mg/m³

***

Record 17
Entry from the Materials Project: crystalline Th2Si3Pt at its relaxed geometry (meta-GGA r2SCAN).

```
Th2Si3Pt
1.0
7.003 -2.979 0.763
6.090 1.758 4.280
-7.545 -1.201 -0.368
Th Si Pt
2 3 1
Cartesian
2.947 -2.390 1.436 Th
0.016 -0.001 0.006 Th
5.458 -0.509 2.102 Si
1.453 0.075 2.795 Si
7.659 -0.714 2.950 Si
3.656 -0.130 3.644 Pt
```

Output
Raw total energy ... -231.07 eV per cell
V ... 125.5 Å³ per cell
ΔE_f ... -1.0521 eV per atom
Symmetry ... Imm2, No. 44
M_tot ... 0.0 μB per formula unit
Calculated density ... 9.8 Mg/m³

***

Record 18
Entry from the Materials Project: crystalline EuAl2Cl8 at its relaxed geometry (meta-GGA r2SCAN).

```
EuAl2Cl8
1.0
7.005 0.000 0.000
0.000 7.263 0.015
0.000 0.992 12.576
Eu Al Cl
2 4 16
Cartesian
5.917 4.376 9.440 Eu
1.088 3.880 3.152 Eu
1.839 5.518 7.277 Al
5.167 5.022 0.988 Al
5.167 2.737 5.315 Al
1.839 3.233 11.603 Al
5.741 2.998 1.412 Cl
5.741 4.761 4.891 Cl
2.137 5.826 5.174 Cl
2.137 1.933 1.130 Cl
4.868 2.429 7.418 Cl
4.868 6.322 11.462 Cl
0.203 6.701 8.018 Cl
0.203 2.051 10.861 Cl
6.803 1.555 4.573 Cl
6.803 6.205 1.730 Cl
3.681 6.038 8.239 Cl
3.681 2.713 10.640 Cl
3.324 2.217 4.352 Cl
3.324 5.542 1.951 Cl
1.265 3.494 7.700 Cl
1.265 5.257 11.180 Cl
```

Output
Raw total energy ... -246.31 eV per cell
V ... 639.8 Å³ per cell
ΔE_f ... -1.9955 eV per atom
Symmetry ... P2/c, No. 13
M_tot ... 7.0 μB per formula unit
Calculated density ... 2.5 Mg/m³